Computed, not measured: a geometry-optimized Li3Cu4NiO8 structure at the PBE with a Hubbard U level of DFT.

a b c (Å): 6.1797 6.1797 5.5918
angles (deg): 115.28 115.28 53.92
Last column: nearest neighbours and their distance in Å.
Positions (direct):
Li: 0.0000 0.0000 0.0000  4 O 2.02
Li: 0.0000 0.5000 0.5000  6 O 2.11-2.18
Li: 0.5000 0.0000 0.5000  6 O 2.11-2.18
Cu: 0.0000 0.0000 0.5000  6 O 1.96-2.10
Cu: 0.0000 0.5000 0.0000  4 O 1.87-1.90
Cu: 0.5000 0.0000 0.0000  4 O 1.87-1.90
Cu: 0.5000 0.5000 0.0000  4 O 1.91
Ni: 0.5000 0.5000 0.5000  6 O 2.00-2.14
O: 0.2010 0.2010 0.7401  3 Cu 1.90-1.96
O: 0.2307 0.7041 0.7301  2 Cu 1.91-2.10, 1 Ni 2.00, 2 Li 2.02-2.11
O: 0.2808 0.2808 0.2442  2 Cu 1.87
O: 0.2959 0.7693 0.2699  2 Cu 1.91-2.10, 1 Ni 2.00, 2 Li 2.02-2.11
O: 0.7041 0.2307 0.7301  2 Cu 1.91-2.10, 1 Ni 2.00, 2 Li 2.02-2.11
O: 0.7192 0.7192 0.7558  2 Cu 1.87
O: 0.7693 0.2959 0.2699  2 Cu 1.91-2.10, 1 Ni 2.00, 2 Li 2.02-2.11
O: 0.7990 0.7990 0.2599  3 Cu 1.90-1.96

Results
DFT total energy, eV/cell: -80.4
MP2020-corrected energy, eV/atom: -5.529
DFT formation energy, eV/f.u.: -20.98
Magnetic moment, μB/atom: 0.146
Space-group type: No. 12